Entry 1:
# Li5Ni9O16 | the Materials Project database | PBE with a Hubbard U | optimized geometry
# E_form   -1.26 eV per atom
# Spin magnetization   0.366 μB per atom
# E   -4.819 eV per atom
data_Li5Ni9O16
_chemical_formula_sum 'Li10 Ni18 O32'
_space_group_name_H-M_alt 'P -1'
_space_group_IT_number 2
_cell_length_a 4.972
_cell_length_b 10.334
_cell_length_c 11.276
_cell_angle_alpha 99.43
_cell_angle_beta 99.89
_cell_angle_gamma 102.61
loop_
_space_group_symop_operation_xyz
'x,y,z'
'-x,-y,-z'
loop_
_atom_site_label
_atom_site_type_symbol
_atom_site_fract_x
_atom_site_fract_y
_atom_site_fract_z
_atom_site_occupancy
Li1 Li 0.034 0.376 0.032 1
Li2 Li 0.178 0.880 0.159 1
Li3 Li 0.221 0.628 0.220 1
Li4 Li 0.285 0.366 0.286 1
Li5 Li 0.463 0.623 0.476 1
Ni1 Ni 0.046 0.755 0.561 1
Ni2 Ni 0.097 0.121 0.094 1
Ni3 Ni 0.121 0.500 0.627 1
Ni4 Ni 0.194 0.257 0.693 1
Ni5 Ni 0.233 0.999 0.749 1
Ni6 Ni 0.304 0.746 0.811 1
Ni7 Ni 0.376 0.502 0.878 1
Ni8 Ni 0.419 0.883 0.411 1
Ni9 Ni 0.435 0.241 0.939 1
O1 O 0.006 0.807 0.740 1
O2 O 0.051 0.906 0.319 1
O3 O 0.080 0.568 0.804 1
O4 O 0.103 0.680 0.385 1
O5 O 0.132 0.323 0.855 1
O6 O 0.141 0.064 0.918 1
O7 O 0.192 0.442 0.452 1
O8 O 0.225 0.799 0.965 1
O9 O 0.284 0.211 0.544 1
O10 O 0.323 0.555 0.040 1
O11 O 0.333 0.935 0.577 1
O12 O 0.348 0.676 0.649 1
O13 O 0.389 0.316 0.114 1
O14 O 0.431 0.439 0.719 1
O15 O 0.458 0.087 0.183 1
O16 O 0.493 0.189 0.764 1


Entry 2:
# Li4V3P8O29 | the Materials Project database | PBE with a Hubbard U | optimized geometry
# E_form   -2.57 eV per atom
# Energy relative to the lowest polymorph listed for this composition   0.9 kJ per mole of atoms
# Spin magnetization   0.023 μB per atom
# E   -7.043 eV per atom
data_Li4V3P8O29
_chemical_formula_sum 'Li8 V6 P16 O58'
_space_group_name_H-M_alt 'P 1'
_space_group_IT_number 1
_cell_length_a 9.754
_cell_length_b 9.774
_cell_length_c 14.204
_cell_angle_alpha 90.15
_cell_angle_beta 90.01
_cell_angle_gamma 119.75
loop_
_space_group_symop_operation_xyz
'x,y,z'
loop_
_atom_site_label
_atom_site_type_symbol
_atom_site_fract_x
_atom_site_fract_y
_atom_site_fract_z
_atom_site_occupancy
Li1 Li 0.000 0.000 0.000 1
Li2 Li 0.001 0.553 0.499 1
Li3 Li 0.101 0.277 0.433 1
Li4 Li 0.181 0.635 0.893 1
Li5 Li 0.315 0.239 0.885 1
Li6 Li 0.424 0.419 0.498 1
Li7 Li 0.761 0.221 0.385 1
Li8 Li 0.869 0.405 0.003 1
V1 V 0.093 0.760 0.686 1
V2 V 0.095 0.891 0.202 1
V3 V 0.525 0.757 0.192 1
V4 V 0.526 0.325 0.696 1
V5 V 0.658 0.320 0.189 1
V6 V 0.660 0.886 0.690 1
P1 P 0.003 0.004 0.782 1
P2 P 0.003 0.546 0.286 1
P3 P 0.179 0.103 0.601 1
P4 P 0.182 0.642 0.106 1
P5 P 0.317 0.229 0.103 1
P6 P 0.318 0.627 0.601 1
P7 P 0.406 0.411 0.282 1
P8 P 0.407 0.556 0.787 1
P9 P 0.423 0.985 0.809 1
P10 P 0.430 0.988 0.313 1
P11 P 0.758 0.653 0.572 1
P12 P 0.766 0.661 0.076 1
P13 P 0.778 0.090 0.098 1
P14 P 0.778 0.234 0.604 1
P15 P 0.867 0.017 0.284 1
P16 P 0.867 0.417 0.784 1
O1 O 0.001 0.703 0.272 1
O2 O 0.005 0.980 0.279 1
O3 O 0.015 0.585 0.776 1
O4 O 0.077 0.539 0.375 1
O5 O 0.089 0.073 0.873 1
O6 O 0.092 0.564 0.018 1
O7 O 0.093 0.529 0.195 1
O8 O 0.097 0.119 0.518 1
O9 O 0.100 0.120 0.698 1
O10 O 0.171 0.061 0.109 1
O11 O 0.175 0.942 0.612 1
O12 O 0.177 0.663 0.601 1
O13 O 0.188 0.800 0.125 1
O14 O 0.273 0.840 0.760 1
O15 O 0.280 0.992 0.270 1
O16 O 0.296 0.531 0.696 1
O17 O 0.297 0.320 0.192 1
O18 O 0.304 0.524 0.519 1
O19 O 0.318 0.342 0.372 1
O20 O 0.323 0.305 0.012 1
O21 O 0.327 0.567 0.872 1
O22 O 0.350 0.665 0.107 1
O23 O 0.352 0.240 0.608 1
O24 O 0.410 0.964 0.912 1
O25 O 0.422 0.138 0.776 1
O26 O 0.422 0.978 0.417 1
O27 O 0.423 0.840 0.264 1
O28 O 0.429 0.408 0.785 1
O29 O 0.438 0.583 0.271 1
O30 O 0.470 0.220 0.123 1
O31 O 0.477 0.784 0.611 1
O32 O 0.561 0.408 0.272 1
O33 O 0.566 0.981 0.761 1
O34 O 0.568 0.705 0.765 1
O35 O 0.583 0.135 0.276 1
O36 O 0.604 0.509 0.610 1
O37 O 0.618 0.940 0.118 1
O38 O 0.621 0.232 0.617 1
O39 O 0.623 0.666 0.124 1
O40 O 0.708 0.863 0.276 1
O41 O 0.714 0.425 0.763 1
O42 O 0.751 0.064 0.611 1
O43 O 0.755 0.237 0.099 1
O44 O 0.764 0.508 0.111 1
O45 O 0.765 0.803 0.619 1
O46 O 0.768 0.658 0.468 1
O47 O 0.771 0.673 0.971 1
O48 O 0.833 0.403 0.277 1
O49 O 0.835 0.980 0.777 1
O50 O 0.862 0.081 0.013 1
O51 O 0.862 0.342 0.875 1
O52 O 0.866 0.316 0.516 1
O53 O 0.887 0.117 0.190 1
O54 O 0.887 0.323 0.696 1
O55 O 0.889 0.123 0.366 1
O56 O 0.907 0.645 0.614 1
O57 O 0.916 0.808 0.121 1
O58 O 0.995 0.844 0.760 1


Entry 3:
# Li9Mn2Co5O16 | the Materials Project database | PBE with a Hubbard U | optimized geometry
# E_form   -1.82 eV per atom
# Energy relative to the lowest polymorph listed for this composition   4.5 kJ per mole of atoms
# Spin magnetization   0.312 μB per atom
# E   -5.808 eV per atom
data_Li9Mn2Co5O16
_chemical_formula_sum 'Li9 Mn2 Co5 O16'
_space_group_name_H-M_alt 'P -1'
_space_group_IT_number 2
_cell_length_a 5.016
_cell_length_b 7.797
_cell_length_c 7.807
_cell_angle_alpha 97.29
_cell_angle_beta 102.36
_cell_angle_gamma 103.02
loop_
_space_group_symop_operation_xyz
'x,y,z'
'-x,-y,-z'
loop_
_atom_site_label
_atom_site_type_symbol
_atom_site_fract_x
_atom_site_fract_y
_atom_site_fract_z
_atom_site_occupancy
Li1 Li 0.000 0.000 0.000 1
Li2 Li 0.000 0.500 0.500 1
Li3 Li 0.007 0.261 0.759 1
Li4 Li 0.490 0.618 0.363 1
Li5 Li 0.499 0.139 0.880 1
Li6 Li 0.500 0.500 0.000 1
Mn1 Mn 0.002 0.126 0.378 1
Co1 Co 0.006 0.375 0.115 1
Co2 Co 0.490 0.741 0.754 1
Co3 Co 0.500 0.000 0.500 1
O1 O 0.234 0.619 0.120 1
O2 O 0.237 0.355 0.375 1
O3 O 0.238 0.878 0.852 1
O4 O 0.240 0.250 0.014 1
O5 O 0.242 0.107 0.608 1
O6 O 0.247 0.774 0.506 1
O7 O 0.252 0.521 0.750 1
O8 O 0.260 0.018 0.276 1


Entry 4:
# LiCr3O9 | the Materials Project database | PBE with a Hubbard U | optimized geometry
# E_form   -1.70 eV per atom
# Spin magnetization   0.077 μB per atom
# E   -6.560 eV per atom
data_LiCr3O9
_chemical_formula_sum 'Li12 Cr36 O108'
_space_group_name_H-M_alt 'C 1 c 1'
_space_group_IT_number 9
_cell_length_a 14.495
_cell_length_b 21.403
_cell_length_c 10.461
_cell_angle_alpha 90.00
_cell_angle_beta 126.85
_cell_angle_gamma 90.00
loop_
_space_group_symop_operation_xyz
'x,y,z'
'x,-y,z+1/2'
'x+1/2,y+1/2,z'
'x+1/2,-y+1/2,z+1/2'
loop_
_atom_site_label
_atom_site_type_symbol
_atom_site_fract_x
_atom_site_fract_y
_atom_site_fract_z
_atom_site_occupancy
Li1 Li 0.000 0.077 0.000 1
Li2 Li 0.000 0.411 0.001 1
Li3 Li 0.477 0.256 0.964 1
Cr1 Cr 0.117 0.198 0.292 1
Cr2 Cr 0.120 0.136 0.801 1
Cr3 Cr 0.143 0.470 0.838 1
Cr4 Cr 0.220 0.355 0.701 1
Cr5 Cr 0.250 0.315 0.255 1
Cr6 Cr 0.266 0.018 0.776 1
Cr7 Cr 0.345 0.134 0.649 1
Cr8 Cr 0.351 0.202 0.149 1
Cr9 Cr 0.373 0.467 0.686 1
O1 O 0.011 0.215 0.299 1
O2 O 0.023 0.111 0.821 1
O3 O 0.047 0.466 0.869 1
O4 O 0.076 0.171 0.635 1
O5 O 0.085 0.165 0.131 1
O6 O 0.114 0.473 0.216 1
O7 O 0.132 0.304 0.572 1
O8 O 0.136 0.342 0.090 1
O9 O 0.145 0.399 0.755 1
O10 O 0.157 0.022 0.133 1
O11 O 0.214 0.267 0.348 1
O12 O 0.220 0.148 0.465 1
O13 O 0.221 0.188 0.970 1
O14 O 0.224 0.072 0.852 1
O15 O 0.261 0.405 0.615 1
O16 O 0.276 0.480 0.015 1
O17 O 0.328 0.372 0.374 1
O18 O 0.332 0.058 0.704 1
O19 O 0.332 0.322 0.856 1
O20 O 0.338 0.273 0.220 1
O21 O 0.361 0.027 0.418 1
O22 O 0.362 0.185 0.777 1
O23 O 0.382 0.147 0.275 1
O24 O 0.407 0.500 0.350 1
O25 O 0.449 0.209 0.123 1
O26 O 0.452 0.136 0.641 1
O27 O 0.477 0.444 0.680 1


Entry 5:
# LiMnCoO4 | the Materials Project database | PBE with a Hubbard U | optimized geometry
# E_form   -1.79 eV per atom
# Energy relative to the lowest polymorph listed for this composition   0.0 kJ per mole of atoms
# Spin magnetization   0.714 μB per atom
# E   -6.349 eV per atom
data_LiMnCoO4
_chemical_formula_sum 'Li4 Mn4 Co4 O16'
_space_group_name_H-M_alt 'I m m a'
_space_group_IT_number 74
_space_group_name_Hall '-I 2b 2'
_cell_length_a 5.730
_cell_length_b 5.784
_cell_length_c 8.513
_cell_angle_alpha 90.00
_cell_angle_beta 90.00
_cell_angle_gamma 90.00
loop_
_atom_site_label
_atom_site_type_symbol
_atom_site_fract_x
_atom_site_fract_y
_atom_site_fract_z
_atom_site_occupancy
Li1 Li 0.000 0.250 0.135 1
Mn1 Mn 0.000 0.000 0.500 1
Co1 Co 0.250 0.250 0.750 1
O1 O 0.000 0.028 0.729 1
O2 O 0.223 0.250 0.500 1


Entry 6:
# Co2P2H4O9 | the Materials Project database | PBE with a Hubbard U | optimized geometry
# E_form   -1.91 eV per atom
# Spin magnetization   0.353 μB per atom
# E   -6.248 eV per atom
data_Co2P2H4O9
_chemical_formula_sum 'Co8 P8 H16 O36'
_space_group_name_H-M_alt 'P 1 21/c 1'
_space_group_IT_number 14
_cell_length_a 6.409
_cell_length_b 14.195
_cell_length_c 9.313
_cell_angle_alpha 90.00
_cell_angle_beta 127.50
_cell_angle_gamma 90.00
loop_
_space_group_symop_operation_xyz
'x,y,z'
'-x,-y,-z'
'-x,y+1/2,-z+1/2'
'x,-y+1/2,z+1/2'
loop_
_atom_site_label
_atom_site_type_symbol
_atom_site_fract_x
_atom_site_fract_y
_atom_site_fract_z
_atom_site_occupancy
Co1 Co 0.184 0.111 0.418 1
Co2 Co 0.297 0.748 0.849 1
P1 P 0.140 0.187 0.073 1
P2 P 0.389 0.585 0.150 1
H1 H 0.044 0.552 0.697 1
H2 H 0.151 0.024 0.761 1
H3 H 0.364 0.609 0.545 1
H4 H 0.428 0.181 0.812 1
O1 O 0.025 0.503 0.277 1
O2 O 0.051 0.203 0.193 1
O3 O 0.081 0.661 0.623 1
O4 O 0.194 0.644 0.158 1
O5 O 0.320 0.230 0.600 1
O6 O 0.323 0.020 0.629 1
O7 O 0.326 0.094 0.152 1
O8 O 0.432 0.626 0.016 1
O9 O 0.491 0.656 0.565 1


Entry 7:
# Li2MnCr3O8 | the Materials Project database | PBE with a Hubbard U | optimized geometry
# E_form   -2.15 eV per atom
# Energy relative to the lowest polymorph listed for this composition   9.4 kJ per mole of atoms
# Maximum piezoelectric response   0.64 C/m²
# Spin magnetization   0.786 μB per atom
# E   -7.033 eV per atom
data_Li2MnCr3O8
_chemical_formula_sum 'Li6 Mn3 Cr9 O24'
_space_group_name_H-M_alt 'R 3 m'
_space_group_IT_number 160
_space_group_name_Hall 'R 3 -2"'
_cell_length_a 5.9126
_cell_length_b 5.9126
_cell_length_c 14.6704
_cell_angle_alpha 90.00
_cell_angle_beta 90.00
_cell_angle_gamma 120.00
loop_
_atom_site_label
_atom_site_type_symbol
_atom_site_fract_x
_atom_site_fract_y
_atom_site_fract_z
_atom_site_occupancy
Li1 Li 0.0000 0.0000 0.0000 1
Li2 Li 0.0000 0.0000 0.3762 1
Mn1 Mn 0.0000 0.0000 0.7565 1
Cr1 Cr 0.0054 0.5027 0.8780 1
O1 O 0.0000 0.0000 0.1372 1
O2 O 0.0000 0.0000 0.6169 1
O3 O 0.0328 0.5164 0.1389 1
O4 O 0.1801 0.3602 0.9453 1